A plane-wave DFT calculation with PBE-GGA was carried out for ZnP14Pb after structural relaxation.

Calculated values
Total magnetization: 0.00 μB/f.u.
ΔE_f: 0.4 eV per formula unit
Volume: 27.10 A^3/atom
Crystal system: orthorhombic
Polymorph energy (0 for the lowest one): 77 meV/atom
DFT total energy: -5.03 eV/atom

Cell lengths 9.712, 11.984, 14.903 Å; angles 90.00, 90.00, 90.00 degrees
Atoms (fractional coordinates):
Zn 0.750 0.339 0.615
P 0.250 0.374 0.088
P 0.433 0.156 0.983
P 0.750 0.874 0.412
P 0.980 0.644 0.372
P 0.572 0.206 0.440
P 0.072 0.794 0.560
P 0.020 0.144 0.128
Zn 0.250 0.661 0.385
Zn 0.250 0.839 0.885
P 0.250 0.682 0.543
P 0.933 0.656 0.517
Zn 0.750 0.161 0.115
P 0.075 0.908 0.432
P 0.750 0.763 0.535
P 0.020 0.356 0.628
P 0.575 0.092 0.568
P 0.925 0.408 0.068
Pb 0.750 0.005 0.818
P 0.520 0.856 0.872
P 0.425 0.592 0.932
P 0.250 0.126 0.588
P 0.750 0.737 0.035
P 0.933 0.844 0.017
P 0.072 0.706 0.060
P 0.750 0.626 0.912
Pb 0.250 0.995 0.182
P 0.428 0.706 0.060
P 0.434 0.320 0.164
P 0.075 0.592 0.932
P 0.066 0.180 0.664
P 0.428 0.794 0.560
P 0.934 0.820 0.336
P 0.572 0.294 0.940
P 0.750 0.318 0.457
P 0.566 0.820 0.336
P 0.066 0.320 0.164
P 0.480 0.356 0.628
P 0.250 0.237 0.465
P 0.250 0.263 0.965
P 0.750 0.351 0.150
P 0.934 0.680 0.836
P 0.928 0.294 0.940
P 0.250 0.649 0.850
P 0.980 0.856 0.872
P 0.567 0.844 0.017
P 0.520 0.644 0.372
P 0.434 0.180 0.664
P 0.750 0.149 0.650
P 0.750 0.182 0.957
P 0.067 0.156 0.983
Pb 0.250 0.505 0.682
P 0.480 0.144 0.128
P 0.575 0.408 0.068
Pb 0.750 0.495 0.318
P 0.928 0.206 0.440
P 0.433 0.344 0.483
P 0.425 0.908 0.432
P 0.067 0.344 0.483
P 0.566 0.680 0.836
P 0.250 0.851 0.350
P 0.250 0.818 0.043
P 0.567 0.656 0.517
P 0.925 0.092 0.568


A plane-wave DFT calculation with PBE-GGA was carried out for PPd3 after structural relaxation.

Calculated values
ΔE_f: -1.9 eV per formula unit
Volume: 15.04 A^3/atom
Crystal system: orthorhombic
DFT total energy: -5.72 eV/atom

Cell lengths 5.262, 6.054, 7.553 Å; angles 90.00, 90.00, 90.00 degrees
Atoms (fractional coordinates):
Pd 0.369 0.472 0.750
Pd 0.663 0.825 0.563
Pd 0.631 0.528 0.250
Pd 0.337 0.175 0.437
Pd 0.131 0.972 0.750
Pd 0.337 0.175 0.063
Pd 0.837 0.325 0.937
Pd 0.163 0.675 0.437
Pd 0.163 0.675 0.063
P 0.957 0.618 0.750
Pd 0.837 0.325 0.563
Pd 0.663 0.825 0.937
Pd 0.869 0.028 0.250
P 0.543 0.118 0.750
P 0.043 0.382 0.250
P 0.457 0.882 0.250


Q: Number 1 is which compound?
A: ZnP14Pb


Q: Look up the ΔE_f of the second one.
A: -1.9 eV per formula unit


Copy entry 2 word for word.
A plane-wave DFT calculation with PBE-GGA was carried out for PPd3 after structural relaxation.

Calculated values
ΔE_f: -1.9 eV per formula unit
Volume: 15.04 A^3/atom
Crystal system: orthorhombic
DFT total energy: -5.72 eV/atom

Cell lengths 5.262, 6.054, 7.553 Å; angles 90.00, 90.00, 90.00 degrees
Atoms (fractional coordinates):
Pd 0.369 0.472 0.750
Pd 0.663 0.825 0.563
Pd 0.631 0.528 0.250
Pd 0.337 0.175 0.437
Pd 0.131 0.972 0.750
Pd 0.337 0.175 0.063
Pd 0.837 0.325 0.937
Pd 0.163 0.675 0.437
Pd 0.163 0.675 0.063
P 0.957 0.618 0.750
Pd 0.837 0.325 0.563
Pd 0.663 0.825 0.937
Pd 0.869 0.028 0.250
P 0.543 0.118 0.750
P 0.043 0.382 0.250
P 0.457 0.882 0.250


Repeat the first record exactly.
A plane-wave DFT calculation with PBE-GGA was carried out for ZnP14Pb after structural relaxation.

Calculated values
Total magnetization: 0.00 μB/f.u.
ΔE_f: 0.4 eV per formula unit
Volume: 27.10 A^3/atom
Crystal system: orthorhombic
Polymorph energy (0 for the lowest one): 77 meV/atom
DFT total energy: -5.03 eV/atom

Cell lengths 9.712, 11.984, 14.903 Å; angles 90.00, 90.00, 90.00 degrees
Atoms (fractional coordinates):
Zn 0.750 0.339 0.615
P 0.250 0.374 0.088
P 0.433 0.156 0.983
P 0.750 0.874 0.412
P 0.980 0.644 0.372
P 0.572 0.206 0.440
P 0.072 0.794 0.560
P 0.020 0.144 0.128
Zn 0.250 0.661 0.385
Zn 0.250 0.839 0.885
P 0.250 0.682 0.543
P 0.933 0.656 0.517
Zn 0.750 0.161 0.115
P 0.075 0.908 0.432
P 0.750 0.763 0.535
P 0.020 0.356 0.628
P 0.575 0.092 0.568
P 0.925 0.408 0.068
Pb 0.750 0.005 0.818
P 0.520 0.856 0.872
P 0.425 0.592 0.932
P 0.250 0.126 0.588
P 0.750 0.737 0.035
P 0.933 0.844 0.017
P 0.072 0.706 0.060
P 0.750 0.626 0.912
Pb 0.250 0.995 0.182
P 0.428 0.706 0.060
P 0.434 0.320 0.164
P 0.075 0.592 0.932
P 0.066 0.180 0.664
P 0.428 0.794 0.560
P 0.934 0.820 0.336
P 0.572 0.294 0.940
P 0.750 0.318 0.457
P 0.566 0.820 0.336
P 0.066 0.320 0.164
P 0.480 0.356 0.628
P 0.250 0.237 0.465
P 0.250 0.263 0.965
P 0.750 0.351 0.150
P 0.934 0.680 0.836
P 0.928 0.294 0.940
P 0.250 0.649 0.850
P 0.980 0.856 0.872
P 0.567 0.844 0.017
P 0.520 0.644 0.372
P 0.434 0.180 0.664
P 0.750 0.149 0.650
P 0.750 0.182 0.957
P 0.067 0.156 0.983
Pb 0.250 0.505 0.682
P 0.480 0.144 0.128
P 0.575 0.408 0.068
Pb 0.750 0.495 0.318
P 0.928 0.206 0.440
P 0.433 0.344 0.483
P 0.425 0.908 0.432
P 0.067 0.344 0.483
P 0.566 0.680 0.836
P 0.250 0.851 0.350
P 0.250 0.818 0.043
P 0.567 0.656 0.517
P 0.925 0.092 0.568